1.
# Ti2In2SiS5O24, relaxed, DFT PBE
data_Ti2In2SiS5O24
_cell_length_a 8.7674
_cell_length_b 8.7794
_cell_length_c 22.7588
_cell_angle_alpha 89.99
_cell_angle_beta 89.98
_cell_angle_gamma 60.15
_symmetry_space_group_name_H-M 'P 1'
_symmetry_Int_Tables_number 1
_symmetry_space_group_name_Hall 'P 1'
loop_
_atom_site_label
_atom_site_type_symbol
_atom_site_fract_x
_atom_site_fract_y
_atom_site_fract_z
Ti1 Ti 0.0000 0.0000 0.0000
Ti2 Ti 0.0031 0.9916 0.5003
Ti3 Ti 0.3199 0.3389 0.1192
Ti4 Ti 0.3274 0.3407 0.6224
Ti5 Ti 0.6860 0.6534 0.9547
Ti6 Ti 0.9955 0.0101 0.7921
In1 In 0.3237 0.3335 0.8352
In2 In 0.3305 0.3321 0.3334
In3 In 0.6554 0.6678 0.6626
In4 In 0.6574 0.6621 0.4601
In5 In 0.6660 0.6684 0.1621
In6 In 0.9936 0.9982 0.2880
Si1 Si 0.3692 0.6661 0.5613
Si2 Si 0.9518 0.6706 0.0604
Si3 Si 0.9944 0.2842 0.8965
S1 S 0.0392 0.6248 0.7271
S2 S 0.0425 0.3315 0.2266
S3 S 0.2821 0.7205 0.8954
S4 S 0.2820 0.9993 0.3952
S5 S 0.3258 0.0436 0.7284
S6 S 0.3300 0.6182 0.2259
S7 S 0.3711 0.9574 0.0601
S8 S 0.6134 0.0460 0.2266
S9 S 0.6204 0.3256 0.7287
S10 S 0.6609 0.3730 0.0599
S11 S 0.6619 0.9652 0.5614
S12 S 0.7101 0.2852 0.3952
S13 S 0.7161 0.9936 0.8953
S14 S 0.9618 0.3662 0.5613
S15 S 0.9935 0.7115 0.3959
O1 O 0.0124 0.1588 0.9512
O2 O 0.0159 0.8032 0.4479
O3 O 0.0258 0.7982 0.7351
O4 O 0.0338 0.1681 0.2305
O5 O 0.1135 0.5160 0.7797
O6 O 0.1173 0.3610 0.2808
O7 O 0.1403 0.3408 0.5737
O8 O 0.1476 0.4918 0.0738
O9 O 0.1543 0.5344 0.6746
O10 O 0.1544 0.5382 0.3918
O11 O 0.1564 0.3095 0.1746
O12 O 0.1601 0.3078 0.8899
O13 O 0.1645 0.0254 0.7376
O14 O 0.1687 0.0205 0.4473
O15 O 0.1691 0.7915 0.2304
O16 O 0.1688 0.8009 0.9475
O17 O 0.1698 0.8337 0.5456
O18 O 0.1917 0.9836 0.0495
O19 O 0.1952 0.8293 0.8414
O20 O 0.2065 0.9696 0.3414
O21 O 0.2905 0.1627 0.3916
O22 O 0.2948 0.1547 0.6759
O23 O 0.3027 0.5452 0.8881
O24 O 0.3072 0.5267 0.1739
O25 O 0.3394 0.4959 0.5774
O26 O 0.3526 0.1342 0.0708
O27 O 0.3557 0.1207 0.7812
O28 O 0.3585 0.5162 0.2804
O29 O 0.4345 0.8512 0.1138
O30 O 0.4385 0.7140 0.6190
O31 O 0.4535 0.7087 0.9041
O32 O 0.4583 0.8472 0.4018
O33 O 0.4794 0.8682 0.7220
O34 O 0.4843 0.8755 0.0090
O35 O 0.4853 0.6383 0.2182
O36 O 0.4879 0.6144 0.5035
O37 O 0.5030 0.3534 0.0700
O38 O 0.5050 0.1396 0.5738
O39 O 0.5122 0.3591 0.7816
O40 O 0.5130 0.1218 0.2814
O41 O 0.5238 0.1581 0.1748
O42 O 0.5333 0.2993 0.6761
O43 O 0.5348 0.3001 0.3914
O44 O 0.5438 0.1506 0.8882
O45 O 0.6231 0.8925 0.5090
O46 O 0.6251 0.4908 0.0088
O47 O 0.6302 0.8716 0.2217
O48 O 0.6501 0.4743 0.7207
O49 O 0.6933 0.8371 0.9034
O50 O 0.6944 0.4591 0.4003
O51 O 0.6985 0.4413 0.1136
O52 O 0.7071 0.8513 0.6133
O53 O 0.7886 0.0314 0.2307
O54 O 0.7942 0.1604 0.7365
O55 O 0.8000 0.0180 0.9474
O56 O 0.7996 0.1735 0.4471
O57 O 0.8112 0.2081 0.3407
O58 O 0.8122 0.4745 0.9063
O59 O 0.8133 0.1957 0.0491
O60 O 0.8142 0.9912 0.5492
O61 O 0.8265 0.9612 0.8413
O62 O 0.8381 0.6918 0.4042
O63 O 0.8394 0.7097 0.1185
O64 O 0.8509 0.4387 0.6136
O65 O 0.8560 0.6319 0.0035
O66 O 0.8639 0.6451 0.7174
O67 O 0.8663 0.4835 0.2203
O68 O 0.8938 0.4795 0.5093
O69 O 0.9633 0.1867 0.8374
O70 O 0.9647 0.8142 0.3417
O71 O 0.9806 0.1912 0.5493
O72 O 0.9837 0.8310 0.0428
# E: -6.67 eV/atom
# Energy of formation from the pure elements: -2.2638 eV/atom
# Mass density: 2.9 g/cm³

2.
# YInS3O12, relaxed, DFT PBE
data_YInS3O12
_cell_length_a 9.0815
_cell_length_b 9.0815
_cell_length_c 23.5269
_cell_angle_alpha 90.00
_cell_angle_beta 90.00
_cell_angle_gamma 120.00
_symmetry_space_group_name_H-M 'P 3 2 1'
_symmetry_Int_Tables_number 150
_symmetry_space_group_name_Hall 'P 3 2"'
loop_
_atom_site_label
_atom_site_type_symbol
_atom_site_fract_x
_atom_site_fract_y
_atom_site_fract_z
Y1 Y 0.3333 0.6667 0.0611
Y2 Y 0.3333 0.6667 0.2720
Y3 Y 0.3333 0.6667 0.7707
In1 In 0.0000 0.0000 0.1031
In2 In 0.0000 0.0000 0.3988
In3 In 0.3333 0.6667 0.5626
S1 S 0.0000 0.2916 0.5000
S2 S 0.0000 0.7161 0.0000
S3 S 0.0420 0.3693 0.1656
S4 S 0.0451 0.6725 0.6640
O1 O 0.0244 0.1996 0.1582
O2 O 0.0273 0.8249 0.6564
O3 O 0.0287 0.8210 0.9485
O4 O 0.0311 0.2148 0.4488
O5 O 0.1212 0.4771 0.1152
O6 O 0.1228 0.6412 0.6133
O7 O 0.1243 0.6452 0.3276
O8 O 0.1271 0.4788 0.8263
O9 O 0.1482 0.4496 0.2167
O10 O 0.1503 0.6994 0.7153
O11 O 0.1510 0.6975 0.0072
O12 O 0.1525 0.4619 0.5082
# E: -6.56 eV/atom
# Energy of formation from the pure elements: -2.2759 eV/atom
# Mass density: 2.9 g/cm³

3.
# InSbO4, relaxed, DFT PBE
data_InSbO4
_cell_length_a 7.6317
_cell_length_b 5.3019
_cell_length_c 7.5277
_cell_angle_alpha 90.00
_cell_angle_beta 100.79
_cell_angle_gamma 90.00
_symmetry_space_group_name_H-M 'P 1 21/c 1'
_symmetry_Int_Tables_number 14
_symmetry_space_group_name_Hall '-P 2ybc'
loop_
_atom_site_label
_atom_site_type_symbol
_atom_site_fract_x
_atom_site_fract_y
_atom_site_fract_z
In1 In 0.1566 0.2400 0.3617
Sb1 Sb 0.3319 0.7462 0.1862
O1 O 0.1016 0.5636 0.1847
O2 O 0.1905 0.0521 0.1056
O3 O 0.3231 0.6030 0.9366
O4 O 0.4331 0.0798 0.8075
# E: -5.94 eV/atom
# Energy of formation from the pure elements: -1.9531 eV/atom
# Mass density: 6.7 g/cm³

4.
# Sr2InSbO6, relaxed, DFT PBE
data_Sr2InSbO6
_cell_length_a 8.2394
_cell_length_b 8.2394
_cell_length_c 8.2394
_cell_angle_alpha 90.00
_cell_angle_beta 90.00
_cell_angle_gamma 90.00
_symmetry_space_group_name_H-M 'F m -3 m'
_symmetry_Int_Tables_number 225
_symmetry_space_group_name_Hall '-F 4 2 3'
loop_
_atom_site_label
_atom_site_type_symbol
_atom_site_fract_x
_atom_site_fract_y
_atom_site_fract_z
Sr1 Sr 0.2500 0.2500 0.2500
In1 In 0.0000 0.0000 0.0000
Sb1 Sb 0.0000 0.0000 0.5000
O1 O 0.0000 0.0000 0.2584
# E: -6.11 eV/atom
# Energy of formation from the pure elements: -2.5291 eV/atom
# Mass density: 6.0 g/cm³

> What is the E in the fourth record?

-6.11 eV/atom

> Look up the energy of formation from the pure elements of the third one.

-1.9531 eV/atom

> Which formula does entry 1 have?

Ti2In2SiS5O24

> Among the records above, which one has the highest mass density?

InSbO4